Na2LiFePCO7 | PBE+U | optimized geometry

Properties
Its total DFT energy (no corrections) is -6.54 eV per atom. The energy relative to the elements is -2293.7 meV per atom. As for the symmetry: No. 1. The magnetic moment is 4.00 μB per formula unit.

Cell lengths 6.6756, 8.8436, 10.3351 Å; angles 91.98, 90.26, 91.11 degrees
Fractional coordinates of all 52 atoms:
Na 0.0000 0.0000 0.0000
Na 0.0008 0.5221 0.7467
Na 0.0027 0.0025 0.5007
Na 0.0068 0.5213 0.2496
Na 0.4975 0.5217 0.2502
Na 0.5027 0.9986 0.0009
Na 0.7381 0.1808 0.7524
Na 0.7480 0.1786 0.2544
Li 0.2567 0.3620 0.9934
Li 0.2790 0.3522 0.5028
Li 0.4705 0.5432 0.7584
Li 0.5324 0.9784 0.4872
Fe 0.2493 0.9135 0.7611
Fe 0.2570 0.9090 0.2689
Fe 0.7437 0.6110 0.9809
Fe 0.7490 0.6095 0.4876
P 0.2474 0.6715 0.0168
P 0.2595 0.6717 0.5239
P 0.7372 0.8469 0.7251
P 0.7546 0.8465 0.2328
C 0.2535 0.2112 0.2314
C 0.2609 0.2203 0.7359
C 0.7425 0.3124 0.5095
C 0.7486 0.3194 0.0102
O 0.0576 0.5732 0.9805
O 0.0645 0.5826 0.4845
O 0.2471 0.3480 0.1908
O 0.2466 0.8258 0.9519
O 0.2511 0.1145 0.6446
O 0.2532 0.1828 0.3542
O 0.2529 0.1832 0.8568
O 0.2580 0.6968 0.1666
O 0.2610 0.0988 0.1459
O 0.2692 0.6936 0.6746
O 0.2738 0.8300 0.4629
O 0.2784 0.3608 0.7036
O 0.4263 0.5713 0.9695
O 0.4331 0.5665 0.4794
O 0.5615 0.9472 0.7731
O 0.5721 0.9416 0.2811
O 0.7260 0.8295 0.5739
O 0.7266 0.1663 0.5151
O 0.7270 0.6876 0.7832
O 0.7414 0.4084 0.1134
O 0.7452 0.8246 0.0823
O 0.7469 0.3803 0.8974
O 0.7485 0.3778 0.3982
O 0.7529 0.3981 0.6141
O 0.7566 0.1747 0.0203
O 0.7568 0.6912 0.2953
O 0.9342 0.9354 0.7637
O 0.9448 0.9442 0.2703